Density functional theory data (PBE+U) for crystalline KCaCeMnO6 at its relaxed geometry.

```
KCaCeMnO6
1.0
0.000 4.116 4.116
4.116 0.000 4.116
4.116 4.116 0.000
K Ca Ce Mn O
1 1 1 1 6
Direct
0.000 0.000 0.000 K
0.500 0.500 0.500 Ca
0.250 0.250 0.250 Ce
0.750 0.750 0.750 Mn
0.517 0.517 0.983 O
0.517 0.983 0.517 O
0.517 0.983 0.983 O
0.983 0.517 0.517 O
0.983 0.517 0.983 O
0.983 0.983 0.517 O
```

## Properties
Its space group is F-43m, No. 216. As for the calculated formation energy: -2.546 eV/atom. For the energy, the calculation gives -6.76 eV per atom.

---

Density functional theory data (PBE+U) for crystalline K2CoS2O14 at its relaxed geometry.

```
K2CoS2O14
1.0
6.097 0.000 0.000
0.000 11.920 0.000
-2.015 0.000 8.283
K Co S O
4 2 4 28
Direct
0.150 0.156 0.367 K
0.150 0.344 0.867 K
0.850 0.656 0.133 K
0.850 0.844 0.633 K
0.500 0.000 0.000 Co
0.500 0.500 0.500 Co
0.246 0.643 0.903 S
0.246 0.857 0.403 S
0.754 0.143 0.597 S
0.754 0.357 0.097 S
0.088 0.738 0.904 O
0.088 0.762 0.404 O
0.137 0.566 0.766 O
0.137 0.934 0.266 O
0.223 0.549 0.505 O
0.223 0.951 0.005 O
0.279 0.576 0.054 O
0.279 0.924 0.554 O
0.333 0.098 0.866 O
0.333 0.402 0.366 O
0.430 0.102 0.133 O
0.430 0.398 0.633 O
0.465 0.684 0.879 O
0.465 0.816 0.379 O
0.535 0.184 0.621 O
0.535 0.316 0.121 O
0.570 0.602 0.367 O
0.570 0.898 0.867 O
0.667 0.598 0.634 O
0.667 0.902 0.134 O
0.721 0.076 0.446 O
0.721 0.424 0.946 O
0.777 0.049 0.995 O
0.777 0.451 0.495 O
0.863 0.066 0.734 O
0.863 0.434 0.234 O
0.912 0.238 0.596 O
0.912 0.262 0.096 O
```

## Properties
Its space group is P2_1/c, No. 14. As for the calculated formation energy: -1.027 eV/atom. For the energy, the calculation gives -5.01 eV per atom.

---

Density functional theory data (PBE+U) for crystalline BaSmCo2O6 at its relaxed geometry.

```
BaSmCo2O6
1.0
3.967 0.000 0.000
0.000 7.735 0.000
0.000 0.000 7.743
Ba Sm Co O
2 2 4 12
Direct
0.000 0.000 0.248 Ba
0.000 0.000 0.752 Ba
0.000 0.500 0.243 Sm
0.000 0.500 0.757 Sm
0.500 0.253 0.500 Co
0.500 0.255 0.000 Co
0.500 0.745 0.000 Co
0.500 0.747 0.500 Co
0.000 0.277 0.500 O
0.000 0.285 0.000 O
0.000 0.715 0.000 O
0.000 0.723 0.500 O
0.500 0.000 0.000 O
0.500 0.000 0.500 O
0.500 0.273 0.240 O
0.500 0.273 0.760 O
0.500 0.500 0.000 O
0.500 0.500 0.500 O
0.500 0.727 0.240 O
0.500 0.727 0.760 O
```

## Properties
The distance to the lowest polymorph of the same formula is 0.02 eV per formula unit. Its space group is Pmmm, No. 47. As for the calculated formation energy: -2.196 eV/atom. For the energy, the calculation gives -6.51 eV per atom.

---

Density functional theory data (PBE+U) for crystalline Ba2Nd2MgCo4O11 at its relaxed geometry.

```
Ba2Nd2MgCo4O11
1.0
3.891 0.000 0.000
0.000 8.943 0.000
0.000 0.000 7.786
Ba Nd Mg Co O
2 2 1 4 11
Direct
0.000 0.207 0.000 Ba
0.000 0.793 0.000 Ba
0.000 0.215 0.515 Nd
0.000 0.785 0.515 Nd
0.000 0.500 0.147 Mg
0.500 0.000 0.281 Co
0.500 0.000 0.766 Co
0.500 0.500 0.376 Co
0.500 0.500 0.830 Co
0.000 0.000 0.292 O
0.000 0.000 0.752 O
0.000 0.500 0.407 O
0.000 0.500 0.882 O
0.500 0.000 0.010 O
0.500 0.000 0.533 O
0.500 0.263 0.341 O
0.500 0.305 0.737 O
0.500 0.500 0.095 O
0.500 0.695 0.737 O
0.500 0.737 0.341 O
```

## Properties
The distance to the lowest polymorph of the same formula is 0.00 eV per formula unit. Its space group is Pmm2, No. 25. As for the calculated formation energy: -2.190 eV/atom. For the energy, the calculation gives -6.38 eV per atom.

---

Density functional theory data (PBE+U) for crystalline Li4CoRuO6 at its relaxed geometry.

```
Li4CoRuO6
1.0
2.524 -4.369 0.000
2.524 4.369 0.000
-1.687 0.000 4.805
Li Co Ru O
4 1 1 6
Direct
0.000 0.000 0.000 Li
0.163 0.837 0.500 Li
0.495 0.505 0.500 Li
0.841 0.159 0.500 Li
0.333 0.667 0.000 Co
0.667 0.333 0.000 Ru
0.080 0.432 0.226 O
0.274 0.279 0.769 O
0.427 0.071 0.228 O
0.568 0.920 0.774 O
0.721 0.726 0.231 O
0.929 0.573 0.772 O
```

## Properties
Its space group is C2, No. 5. As for the calculated formation energy: -1.872 eV/atom. For the energy, the calculation gives -5.87 eV per atom.

---

Density functional theory data (PBE+U) for crystalline SrCa7Fe2Co6O20 at its relaxed geometry.

```
SrCa7Fe2Co6O20
1.0
10.661 0.000 0.000
-0.076 11.161 0.000
-5.273 -5.561 15.228
Sr Ca Fe Co O
4 28 8 24 80
Direct
0.000 0.000 0.000 Sr
0.105 0.093 0.720 Sr
0.604 0.096 0.719 Sr
0.852 0.360 0.716 Sr
0.105 0.593 0.717 Ca
0.106 0.592 0.220 Ca
0.108 0.091 0.219 Ca
0.246 0.729 0.498 Ca
0.246 0.736 0.004 Ca
0.251 0.231 0.007 Ca
0.251 0.234 0.499 Ca
0.351 0.865 0.716 Ca
0.355 0.864 0.218 Ca
0.358 0.365 0.220 Ca
0.359 0.366 0.715 Ca
0.491 0.008 0.498 Ca
0.495 0.514 0.005 Ca
0.497 0.503 0.499 Ca
0.500 0.009 0.004 Ca
0.602 0.593 0.218 Ca
0.604 0.586 0.714 Ca
0.606 0.093 0.218 Ca
0.739 0.232 0.497 Ca
0.742 0.730 0.499 Ca
0.745 0.736 0.004 Ca
0.747 0.234 0.006 Ca
0.851 0.865 0.714 Ca
0.854 0.869 0.218 Ca
0.856 0.367 0.221 Ca
0.993 0.007 0.497 Ca
0.996 0.514 0.005 Ca
0.998 0.505 0.498 Ca
0.161 0.396 0.863 Fe
0.404 0.707 0.860 Fe
0.407 0.210 0.863 Fe
0.653 0.888 0.859 Fe
0.655 0.397 0.862 Fe
0.904 0.708 0.358 Fe
0.906 0.706 0.857 Fe
0.909 0.212 0.865 Fe
0.052 0.793 0.602 Co
0.054 0.298 0.605 Co
0.057 0.300 0.111 Co
0.057 0.799 0.113 Co
0.158 0.393 0.359 Co
0.158 0.893 0.359 Co
0.160 0.891 0.859 Co
0.302 0.047 0.605 Co
0.305 0.550 0.110 Co
0.307 0.549 0.609 Co
0.309 0.049 0.113 Co
0.407 0.205 0.359 Co
0.407 0.704 0.359 Co
0.551 0.297 0.603 Co
0.553 0.797 0.607 Co
0.555 0.800 0.110 Co
0.556 0.300 0.110 Co
0.654 0.892 0.357 Co
0.659 0.394 0.359 Co
0.797 0.045 0.601 Co
0.804 0.548 0.607 Co
0.806 0.051 0.111 Co
0.806 0.551 0.112 Co
0.907 0.206 0.359 Co
0.000 0.690 0.466 O
0.006 0.201 0.973 O
0.136 0.403 0.251 O
0.137 0.902 0.252 O
0.138 0.399 0.750 O
0.141 0.894 0.751 O
0.166 0.913 0.594 O
0.173 0.417 0.101 O
0.178 0.182 0.614 O
0.178 0.425 0.596 O
0.180 0.918 0.103 O
0.183 0.677 0.124 O
0.187 0.681 0.624 O
0.192 0.181 0.128 O
0.223 0.726 0.860 O
0.224 0.732 0.359 O
0.225 0.231 0.358 O
0.230 0.238 0.869 O
0.243 0.007 0.967 O
0.244 0.010 0.466 O
0.245 0.509 0.466 O
0.253 0.518 0.972 O
0.378 0.087 0.751 O
0.386 0.588 0.252 O
0.390 0.586 0.749 O
0.391 0.087 0.253 O
0.420 0.911 0.594 O
0.424 0.414 0.591 O
0.424 0.416 0.098 O
0.424 0.916 0.096 O
0.430 0.187 0.619 O
0.431 0.675 0.619 O
0.437 0.181 0.123 O
0.437 0.685 0.126 O
0.471 0.869 0.859 O
0.472 0.371 0.861 O
0.473 0.867 0.359 O
0.477 0.366 0.359 O
0.490 0.200 0.469 O
0.493 0.695 0.466 O
0.500 0.698 0.970 O
0.502 0.196 0.971 O
0.629 0.398 0.747 O
0.635 0.903 0.251 O
0.636 0.403 0.251 O
0.637 0.893 0.748 O
0.667 0.414 0.589 O
0.673 0.921 0.098 O
0.674 0.920 0.593 O
0.676 0.175 0.613 O
0.676 0.427 0.099 O
0.684 0.679 0.618 O
0.687 0.684 0.127 O
0.689 0.184 0.125 O
0.723 0.728 0.859 O
0.723 0.730 0.358 O
0.725 0.232 0.358 O
0.730 0.241 0.869 O
0.742 0.010 0.464 O
0.742 0.012 0.969 O
0.747 0.509 0.466 O
0.747 0.519 0.970 O
0.881 0.091 0.752 O
0.886 0.590 0.746 O
0.887 0.090 0.251 O
0.888 0.584 0.249 O
0.917 0.909 0.590 O
0.921 0.416 0.094 O
0.924 0.916 0.103 O
0.926 0.170 0.613 O
0.929 0.412 0.595 O
0.933 0.678 0.124 O
0.939 0.683 0.617 O
0.940 0.189 0.124 O
0.972 0.862 0.851 O
0.973 0.868 0.358 O
0.976 0.367 0.359 O
0.982 0.373 0.867 O
0.995 0.197 0.466 O
0.998 0.700 0.969 O
```

## Properties
Its space group is P1, No. 1. As for the calculated formation energy: -2.212 eV/atom. For the energy, the calculation gives -6.27 eV per atom.

---

Density functional theory data (PBE+U) for crystalline Li3Ni4SnO8 at its relaxed geometry.

```
Li3Ni4SnO8
1.0
5.182 -2.988 0.000
5.182 2.988 0.000
-3.447 0.000 4.917
Li Ni Sn O
3 4 1 8
Direct
0.000 0.000 0.000 Li
0.000 0.500 0.500 Li
0.500 0.000 0.500 Li
0.000 0.000 0.500 Ni
0.000 0.500 0.000 Ni
0.500 0.000 0.000 Ni
0.500 0.500 0.000 Ni
0.500 0.500 0.500 Sn
0.251 0.251 0.774 O
0.253 0.746 0.745 O
0.254 0.254 0.240 O
0.254 0.747 0.255 O
0.746 0.253 0.745 O
0.746 0.746 0.760 O
0.747 0.254 0.255 O
0.749 0.749 0.226 O
```

## Properties
Its space group is C2/m, No. 12. As for the calculated formation energy: -1.647 eV/atom. For the energy, the calculation gives -5.20 eV per atom.

---

Density functional theory data (PBE+U) for crystalline CaMo2O4 at its relaxed geometry.

```
CaMo2O4
1.0
5.530 -3.334 0.000
5.530 3.334 0.000
-5.244 0.000 21.567
Ca Mo O
8 16 32
Direct
0.000 0.000 0.000 Ca
0.001 0.001 0.500 Ca
0.254 0.254 0.126 Ca
0.436 0.436 0.405 Ca
0.498 0.498 0.749 Ca
0.505 0.505 0.250 Ca
0.748 0.748 0.874 Ca
0.935 0.935 0.658 Ca
0.000 0.500 0.000 Mo
0.003 0.498 0.750 Mo
0.004 0.505 0.250 Mo
0.064 0.064 0.844 Mo
0.084 0.084 0.348 Mo
0.253 0.253 0.627 Mo
0.434 0.434 0.906 Mo
0.498 0.003 0.750 Mo
0.500 0.000 0.000 Mo
0.505 0.004 0.250 Mo
0.507 0.999 0.501 Mo
0.566 0.566 0.093 Mo
0.572 0.572 0.597 Mo
0.756 0.756 0.378 Mo
0.941 0.941 0.156 Mo
0.999 0.507 0.501 Mo
0.084 0.649 0.436 O
0.112 0.638 0.937 O
0.138 0.138 0.203 O
0.140 0.620 0.188 O
0.148 0.148 0.697 O
0.150 0.577 0.685 O
0.154 0.154 0.444 O
0.154 0.154 0.944 O
0.345 0.345 0.808 O
0.350 0.350 0.302 O
0.360 0.360 0.552 O
0.360 0.890 0.064 O
0.362 0.901 0.568 O
0.364 0.364 0.048 O
0.383 0.860 0.812 O
0.407 0.864 0.318 O
0.577 0.150 0.685 O
0.620 0.140 0.188 O
0.637 0.637 0.953 O
0.638 0.112 0.937 O
0.648 0.648 0.448 O
0.649 0.084 0.436 O
0.656 0.656 0.694 O
0.657 0.657 0.194 O
0.846 0.846 0.057 O
0.848 0.848 0.554 O
0.859 0.859 0.304 O
0.860 0.383 0.812 O
0.864 0.407 0.318 O
0.865 0.865 0.797 O
0.890 0.360 0.064 O
0.901 0.362 0.568 O
```

## Properties
The distance to the lowest polymorph of the same formula is 1.30 eV per formula unit. Its space group is Cm, No. 8. As for the calculated formation energy: -2.111 eV/atom. For the energy, the calculation gives -7.02 eV per atom.

---

Density functional theory data (PBE+U) for crystalline Cr6CuSi2Pb10O34 at its relaxed geometry.

```
Cr6CuSi2Pb10O34
1.0
9.797 0.000 0.000
3.727 9.398 0.000
3.182 3.326 9.010
Cr Cu Si Pb O
6 1 2 10 34
Direct
0.034 0.145 0.279 Cr
0.223 0.335 0.488 Cr
0.265 0.654 0.018 Cr
0.735 0.346 0.982 Cr
0.777 0.665 0.512 Cr
0.966 0.855 0.721 Cr
0.500 0.500 0.500 Cu
0.479 0.834 0.208 Si
0.521 0.166 0.792 Si
0.144 0.753 0.327 Pb
0.182 0.472 0.785 Pb
0.237 0.032 0.917 Pb
0.355 0.832 0.574 Pb
0.365 0.239 0.156 Pb
0.635 0.761 0.844 Pb
0.645 0.168 0.426 Pb
0.763 0.968 0.083 Pb
0.818 0.528 0.215 Pb
0.856 0.247 0.673 Pb
0.017 0.982 0.746 O
0.083 0.272 0.118 O
0.107 0.413 0.373 O
0.111 0.768 0.089 O
0.115 0.764 0.619 O
0.142 0.240 0.655 O
0.181 0.061 0.362 O
0.221 0.535 0.974 O
0.266 0.472 0.509 O
0.330 0.883 0.138 O
0.356 0.771 0.867 O
0.362 0.240 0.888 O
0.369 0.555 0.144 O
0.379 0.218 0.420 O
0.401 0.558 0.658 O
0.436 0.717 0.383 O
0.490 0.018 0.785 O
0.510 0.982 0.215 O
0.564 0.283 0.617 O
0.599 0.442 0.342 O
0.621 0.782 0.580 O
0.631 0.445 0.856 O
0.638 0.760 0.112 O
0.644 0.229 0.133 O
0.670 0.117 0.862 O
0.734 0.528 0.491 O
0.779 0.465 0.026 O
0.819 0.939 0.638 O
0.858 0.760 0.345 O
0.885 0.236 0.381 O
0.889 0.232 0.911 O
0.893 0.587 0.627 O
0.917 0.728 0.882 O
0.983 0.018 0.254 O
```

## Properties
Its space group is P-1, No. 2. As for the calculated formation energy: -1.798 eV/atom. For the energy, the calculation gives -6.38 eV per atom.